1.
Compound: SmGdMn2Ni8
Source: the Materials Project database
Functional: PBE
Structure: relaxed

The value obtained for the energy relative to the elements is -2.85 eV per formula unit. The calculation puts the final energy at -7.184 eV/atom.

Cell lengths 3.9395, 4.9893, 8.6390 Å; angles 90.00, 90.00, 90.00 degrees
With the nearest neighbours (Å) after each atom.
Space group Pmm2 (No. 25)
Inequivalent atoms, fractional coordinates:
Sm 0.0000 0.0000 0.0000  3 Mn 2.88-2.89, 15 Ni 2.89-3.18
Gd 0.0000 0.5000 0.5000  15 Ni 2.87-3.18, 3 Mn 2.87-2.88
Mn 0.0000 0.0000 0.3344  6 Ni 2.45
Mn 0.0000 0.5000 0.8328  6 Ni 2.45
Ni 0.0000 0.0000 0.6656  6 Ni 2.42-2.43
Ni 0.0000 0.5000 0.1678  6 Ni 2.43
Ni 0.5000 0.0000 0.5024  6 Ni 2.42-2.53, 2 Mn 2.45
Ni 0.5000 0.2473 0.7485  6 Ni 2.43-2.53, 2 Mn 2.45
Ni 0.5000 0.2539 0.2495  6 Ni 2.43-2.53, 2 Mn 2.45
Ni 0.5000 0.5000 0.0023  6 Ni 2.43-2.53, 2 Mn 2.45

***

2.
Compound: Gd2MnS4
Source: the Materials Project database
Functional: PBE
Structure: relaxed

The value obtained for the energy relative to the elements is -12.93 eV per formula unit. The corrected total energy (MP2020 scheme) comes out at -9.542 eV/atom. The calculation puts the final energy at -9.254 eV/atom.

Cell lengths 8.1857, 8.1857, 8.6570 Å; angles 90.00, 90.00, 90.00 degrees
With the nearest neighbours (Å) after each atom.
Space group I-42d (No. 122)
Inequivalent atoms, fractional coordinates:
Gd 0.1317 0.2500 0.1250  6 S 2.72-2.97
Mn 0.0000 0.0000 0.5000  4 S 2.58
S 0.0679 0.1996 0.8106  1 Mn 2.58, 2 Gd 2.72-2.80

***

3.
Compound: GdMnSi
Source: the Materials Project database
Functional: PBE
Structure: relaxed

The value obtained for the energy relative to the elements is -1.64 eV per formula unit. The corrected total energy (MP2020 scheme) comes out at -10.100 eV/atom. The calculation puts the final energy at -10.124 eV/atom.

Cell lengths 3.9464, 3.9464, 7.2101 Å; angles 90.00, 90.00, 90.00 degrees
With the nearest neighbours (Å) after each atom.
Space group P4/nmm (No. 129, origin choice 2)
Inequivalent atoms, fractional coordinates:
Gd 0.2500 0.2500 0.1661  4 Si 2.95, 4 Mn 3.11
Mn 0.2500 0.7500 0.5000  4 Si 2.44
Si 0.2500 0.2500 0.6991  4 Mn 2.44